(1)
VASP calculation (PBE-GGA) on an optimized crystal structure of NaAgS2O3.

Properties
space-group type	P2_1/c
crystal system	monoclinic
E_form	-136.8	kJ/mol of atoms
total magnetic moment	0.000	μB per formula unit
DFT total energy	-5.02	eV per atom

Lattice parameters (Å, degrees): 6.241 8.573 9.421 105.98 90.00 90.00
Positions (direct):
O1 0.980 0.340 0.806
O2 0.981 0.370 0.179
O3 0.481 0.130 0.821
O4 0.801 0.034 0.920
O5 0.301 0.466 0.080
O6 0.519 0.870 0.179
O7 0.020 0.660 0.194
O8 0.199 0.966 0.080
O9 0.520 0.840 0.806
O10 0.699 0.534 0.920
O11 0.480 0.160 0.194
O12 0.019 0.630 0.821
S1 0.871 0.490 0.806
S2 0.629 0.990 0.806
S3 0.719 0.459 0.600
S4 0.371 0.010 0.194
S5 0.781 0.959 0.600
S6 0.129 0.510 0.194
S7 0.281 0.541 0.400
S8 0.219 0.041 0.400
Ag1 0.011 0.719 0.556
Ag2 0.989 0.281 0.444
Ag3 0.511 0.781 0.444
Ag4 0.489 0.219 0.556
Na1 0.363 0.670 0.940
Na2 0.137 0.170 0.940
Na3 0.637 0.330 0.060
Na4 0.863 0.830 0.060

(2)
VASP calculation (PBE-GGA) on an optimized crystal structure of LiYS2.

Properties
space-group type	P4/mmm
crystal system	tetragonal
E_form	-195.2	kJ/mol of atoms
total magnetic moment	0.000	μB per formula unit
DFT total energy	-5.93	eV per atom

Lattice parameters (Å, degrees): 3.924 3.924 5.321 90.00 90.00 90.00
Positions (direct):
Li1 0.500 0.500 0.500
S1 0.000 0.000 0.500
S2 0.500 0.500 0.000
Y1 0.000 0.000 0.000